(1)
## NaRuO2 (PBE-GGA)

Data for a relaxed NaRuO2 crystal.

Results
- spin magnetization (μB per cell) = 1.00
- crystal system = trigonal
- DFT formation energy (eV per formula unit) = -5.67

a = 3.1171 Å, b = 3.1171 Å, c = 5.6275 Å
α = 73.92°, β = 73.92°, γ = 60.00°
Sites, in units of the cell vectors:
Ru: 0.5000 0.5000 0.5000
O: 0.7646 0.7646 0.7062
O: 0.2354 0.2354 0.2938
Na: 0.0000 0.0000 0.0000

---

(2)
## NaRu4O8 (PBE-GGA)

Data for a relaxed NaRu4O8 crystal.

Results
- spin magnetization (μB per cell) = 0.00
- crystal system = tetragonal
- DFT formation energy (eV per formula unit) = -18.65

a = 7.0962 Å, b = 7.0962 Å, c = 7.0962 Å
α = 92.86°, β = 92.86°, γ = 154.17°
Sites, in units of the cell vectors:
O: 0.3585 0.3080 0.6665
O: 0.6415 0.6920 0.3335
O: 0.3080 0.6415 0.9495
O: 0.6920 0.3585 0.0505
O: 0.3407 0.0487 0.3894
O: 0.9513 0.3407 0.2919
O: 0.0487 0.6593 0.7081
O: 0.6593 0.9513 0.6106
Ru: 0.8500 0.6715 0.5216
Ru: 0.3285 0.8500 0.1785
Ru: 0.6715 0.1500 0.8215
Ru: 0.1500 0.3285 0.4784
Na: 0.0000 0.0000 0.0000

---

(3)
## Na2RuO7 (PBE-GGA)

Data for a relaxed Na2RuO7 crystal.

Results
- spin magnetization (μB per cell) = 8.97
- crystal system = triclinic
- DFT formation energy (eV per formula unit) = -7.84

a = 6.0407 Å, b = 7.0890 Å, c = 8.9501 Å
α = 82.06°, β = 99.33°, γ = 98.68°
Sites, in units of the cell vectors:
O: 0.8359 0.0625 0.6048
O: 0.6480 0.4248 0.6677
O: 0.5342 0.6732 0.3812
O: 0.9721 0.7332 0.8313
O: 0.7881 0.7599 0.1253
O: 0.0263 0.2649 0.1668
O: 0.1272 0.8090 0.5076
O: 0.3469 0.5792 0.3349
O: 0.1606 0.9408 0.3967
O: 0.5338 0.2410 0.1626
O: 0.2138 0.2410 0.8745
O: 0.4660 0.7599 0.8370
O: 0.8772 0.1900 0.4922
O: 0.4684 0.3224 0.6186
Na: 0.7537 0.9961 0.2702
Na: 0.8223 0.4644 0.2703
Na: 0.1798 0.5351 0.7295
Na: 0.2463 0.0039 0.7290
Ru: 0.2518 0.2451 0.0753
Ru: 0.7475 0.7533 0.9246

---

(4)
## NaRu2O4 (PBE-GGA)

Data for a relaxed NaRu2O4 crystal.

Results
- crystal system = orthorhombic
- DFT formation energy (eV per formula unit) = -10.35

a = 2.8134 Å, b = 9.5307 Å, c = 11.2788 Å
α = 90.00°, β = 90.00°, γ = 90.00°
Sites, in units of the cell vectors:
O: 0.7500 0.7091 0.6600
O: 0.2500 0.4722 0.7776
O: 0.7500 0.2091 0.8400
O: 0.2500 0.8903 0.4722
O: 0.2500 0.0857 0.0631
O: 0.2500 0.5857 0.4369
O: 0.2500 0.3903 0.0278
O: 0.2500 0.7909 0.1600
O: 0.2500 0.9722 0.7224
O: 0.7500 0.9143 0.9369
O: 0.7500 0.6097 0.9722
O: 0.7500 0.0278 0.2776
O: 0.2500 0.2909 0.3400
O: 0.7500 0.4143 0.5631
O: 0.7500 0.5278 0.2224
O: 0.7500 0.1097 0.5278
Na: 0.7500 0.2592 0.1558
Na: 0.2500 0.2408 0.6558
Na: 0.2500 0.7408 0.8442
Na: 0.7500 0.7592 0.3442
Ru: 0.2500 0.5605 0.6167
Ru: 0.2500 0.0605 0.8833
Ru: 0.7500 0.4146 0.8948
Ru: 0.7500 0.4395 0.3833
Ru: 0.7500 0.9146 0.6052
Ru: 0.2500 0.0854 0.3948
Ru: 0.2500 0.5854 0.1052
Ru: 0.7500 0.9395 0.1167

---

(5)
## NaRuO2 (PBE-GGA)

Data for a relaxed NaRuO2 crystal.

Results
- spin magnetization (μB per cell) = 2.00
- crystal system = triclinic
- DFT formation energy (eV per formula unit) = -5.56

a = 3.2573 Å, b = 5.0610 Å, c = 5.6919 Å
α = 103.98°, β = 91.47°, γ = 90.03°
Sites, in units of the cell vectors:
Na: 0.0943 0.3605 0.9843
Na: 0.5977 0.8592 0.9905
O: 0.5848 0.4313 0.6901
O: 0.0678 0.1242 0.3184
O: 0.5689 0.6129 0.2916
O: 0.0851 0.9400 0.7160
Ru: 0.5760 0.0146 0.5081
Ru: 0.0766 0.5408 0.5002

---

(6)
## NaRuO3 (PBE-GGA)

Data for a relaxed NaRuO3 crystal.

Results
- spin magnetization (μB per cell) = 0.00
- crystal system = cubic
- DFT formation energy (eV per formula unit) = -7.61

a = 3.8675 Å, b = 3.8675 Å, c = 3.8675 Å
α = 90.00°, β = 90.00°, γ = 90.00°
Sites, in units of the cell vectors:
Na: 0.0000 0.0000 0.0000
O: 0.0000 0.5000 0.5000
O: 0.5000 0.0000 0.5000
O: 0.5000 0.5000 0.0000
Ru: 0.5000 0.5000 0.5000

---

(7)
## NaSr3RuO6 (PBE-GGA)

Data for a relaxed NaSr3RuO6 crystal.

Results
- spin magnetization (μB per cell) = 6.00
- crystal system = trigonal
- DFT formation energy (eV per formula unit) = -27.93

a = 6.8312 Å, b = 6.8312 Å, c = 6.8312 Å
α = 90.82°, β = 90.82°, γ = 90.82°
Sites, in units of the cell vectors:
Sr: 0.2500 0.6080 0.8920
Sr: 0.3920 0.1080 0.7500
Sr: 0.1080 0.7500 0.3920
Sr: 0.8920 0.2500 0.6080
Sr: 0.7500 0.3920 0.1080
Sr: 0.6080 0.8920 0.2500
O: 0.9446 0.0755 0.2783
O: 0.5755 0.4446 0.7783
O: 0.4446 0.7783 0.5755
O: 0.5554 0.2217 0.4245
O: 0.0755 0.2783 0.9446
O: 0.7783 0.5755 0.4446
O: 0.9245 0.7217 0.0554
O: 0.7217 0.0554 0.9245
O: 0.0554 0.9245 0.7217
O: 0.2217 0.4245 0.5554
O: 0.4245 0.5554 0.2217
O: 0.2783 0.9446 0.0755
Ru: 0.0000 0.0000 0.0000
Ru: 0.5000 0.5000 0.5000
Na: 0.2500 0.2500 0.2500
Na: 0.7500 0.7500 0.7500

---

(8)
## Na2S2O5 (PBE-GGA)

Data for a relaxed Na2S2O5 crystal.

Results
- spin magnetization (μB per cell) = 2.00
- crystal system = triclinic
- DFT formation energy (eV per formula unit) = -12.32

a = 5.6595 Å, b = 6.1886 Å, c = 26.8326 Å
α = 103.02°, β = 92.81°, γ = 90.78°
Sites, in units of the cell vectors:
O: 0.0455 0.3924 0.9352
O: 0.9984 0.1133 0.3814
O: 0.9459 0.5855 0.7363
O: 0.4838 0.4242 0.9429
O: 0.0037 0.4193 0.6058
O: 0.4279 0.9440 0.6614
O: 0.4420 0.4363 0.6073
O: 0.3372 0.8919 0.8761
O: 0.8421 0.0612 0.7215
O: 0.5132 0.5882 0.3949
O: 0.9662 0.8597 0.9225
O: 0.1586 0.8464 0.5180
O: 0.0117 0.8879 0.2689
O: 0.4519 0.4103 0.2697
O: 0.0165 0.1078 0.0465
O: 0.8250 0.0952 0.1270
O: 0.8023 0.1061 0.4614
O: 0.5584 0.1420 0.4801
O: 0.9495 0.6002 0.3926
O: 0.5849 0.1427 0.1470
O: 0.9323 0.8871 0.5966
O: 0.0382 0.2043 0.8067
O: 0.6185 0.1064 0.8008
O: 0.3248 0.0300 0.7023
O: 0.9650 0.6006 0.0617
O: 0.2258 0.8412 0.1900
O: 0.5295 0.5891 0.0670
O: 0.5130 0.5503 0.7418
O: 0.4496 0.9005 0.2734
O: 0.0151 0.4010 0.2656
S: 0.7614 0.1564 0.4046
S: 0.7437 0.5603 0.4241
S: 0.7634 0.5548 0.0938
S: 0.2296 0.8068 0.2426
S: 0.2644 0.4431 0.9078
S: 0.2340 0.8404 0.9231
S: 0.1703 0.8454 0.5735
S: 0.7811 0.1502 0.0706
S: 0.8159 0.1877 0.7745
S: 0.2324 0.4252 0.2361
S: 0.7487 0.5551 0.7709
S: 0.2162 0.4435 0.5745
Na: 0.2766 0.8840 0.7870
Na: 0.2534 0.8856 0.4394
Na: 0.7504 0.6892 0.3104
Na: 0.7009 0.1548 0.5631
Na: 0.2069 0.3676 0.6856
Na: 0.7654 0.7130 0.6604
Na: 0.7166 0.1095 0.2293
Na: 0.7406 0.1221 0.8881
Na: 0.2715 0.8868 0.1093
Na: 0.7907 0.6658 0.9785
Na: 0.2458 0.3513 0.0133
Na: 0.2257 0.3395 0.3441

---

(9)
## Na2SO14 (PBE-GGA)

Data for a relaxed Na2SO14 crystal.

Results
- spin magnetization (μB per cell) = 10.55
- crystal system = monoclinic
- DFT formation energy (eV per formula unit) = -8.43

a = 6.6941 Å, b = 11.1665 Å, c = 15.2438 Å
α = 82.14°, β = 90.00°, γ = 90.00°
Sites, in units of the cell vectors:
O: 0.3278 0.9922 0.6420
O: 0.1185 0.4051 0.7445
O: 0.8089 0.8030 0.2008
O: 0.0012 0.3942 0.9844
O: 0.5204 0.9615 0.4002
O: 0.8520 0.2525 0.7470
O: 0.5012 0.6058 0.5156
O: 0.3520 0.7475 0.7530
O: 0.3089 0.1970 0.2992
O: 0.4316 0.8696 0.3689
O: 0.4154 0.0728 0.9437
O: 0.5895 0.4720 0.0728
O: 0.1480 0.7475 0.2530
O: 0.9105 0.4720 0.5728
O: 0.8901 0.5759 0.6003
O: 0.9316 0.1304 0.1311
O: 0.0846 0.0728 0.4437
O: 0.0296 0.1033 0.5147
O: 0.5684 0.1304 0.6311
O: 0.0684 0.8696 0.8689
O: 0.9411 0.5821 0.9431
O: 0.8815 0.5949 0.2555
O: 0.4411 0.4179 0.5569
O: 0.3815 0.4051 0.2445
O: 0.6185 0.5949 0.7555
O: 0.4796 0.0385 0.5998
O: 0.1262 0.2576 0.6425
O: 0.9988 0.6058 0.0156
O: 0.4704 0.1033 0.0147
O: 0.6099 0.5759 0.1003
O: 0.9425 0.3598 0.3989
O: 0.5589 0.5821 0.4431
O: 0.4988 0.3942 0.4844
O: 0.6262 0.7424 0.8575
O: 0.3738 0.2576 0.1425
O: 0.5846 0.9272 0.0563
O: 0.1099 0.4241 0.3997
O: 0.8278 0.0078 0.8580
O: 0.3901 0.4241 0.8997
O: 0.4105 0.5280 0.9272
O: 0.6911 0.8030 0.7008
O: 0.6722 0.0078 0.3580
O: 0.9796 0.9615 0.9002
O: 0.9154 0.9272 0.5563
O: 0.9704 0.8967 0.4853
O: 0.1722 0.9922 0.1420
O: 0.6480 0.2525 0.2470
O: 0.5296 0.8967 0.9853
O: 0.0204 0.0385 0.0998
O: 0.4425 0.6402 0.1011
O: 0.5575 0.3598 0.8989
O: 0.0589 0.4179 0.0569
O: 0.0895 0.5280 0.4272
O: 0.1911 0.1970 0.7992
O: 0.8738 0.7424 0.3575
O: 0.0575 0.6402 0.6011
S: 0.5685 0.7222 0.7651
S: 0.4315 0.2778 0.2349
S: 0.0685 0.2778 0.7349
S: 0.9315 0.7222 0.2651
Na: 0.8293 0.2654 0.5593
Na: 0.0208 0.7475 0.7333
Na: 0.1707 0.7346 0.4407
Na: 0.3293 0.7346 0.9407
Na: 0.4792 0.7475 0.2333
Na: 0.5208 0.2525 0.7667
Na: 0.9792 0.2525 0.2667
Na: 0.6707 0.2654 0.0593

---

(10)
## NaS2O4 (PBE-GGA)

Data for a relaxed NaS2O4 crystal.

Results
- spin magnetization (μB per cell) = 4.00
- crystal system = monoclinic
- DFT formation energy (eV per formula unit) = -7.58

a = 5.5004 Å, b = 6.6202 Å, c = 8.1337 Å
α = 114.01°, β = 103.61°, γ = 90.00°
Sites, in units of the cell vectors:
S: 0.3425 0.0118 0.0407
S: 0.4235 0.9132 0.2800
S: 0.6575 0.9710 0.9593
S: 0.5765 0.6332 0.7200
O: 0.3190 0.6262 0.6117
O: 0.2280 0.0199 0.3725
O: 0.6810 0.0144 0.3883
O: 0.0820 0.2359 0.7358
O: 0.9180 0.5001 0.2642
O: 0.3899 0.6727 0.1914
O: 0.6101 0.4814 0.8086
O: 0.7720 0.6475 0.6275
Na: 0.9867 0.3233 0.4719
Na: 0.0133 0.8514 0.5281

---

(11)
## Na2SO3 (PBE-GGA)

Data for a relaxed Na2SO3 crystal.

Results
- spin magnetization (μB per cell) = 0.00
- crystal system = trigonal
- DFT formation energy (eV per formula unit) = -12.16

a = 5.5228 Å, b = 5.5228 Å, c = 6.1993 Å
α = 90.00°, β = 90.00°, γ = 120.00°
Sites, in units of the cell vectors:
O: 0.1208 0.3823 0.2652
O: 0.6177 0.7384 0.2652
O: 0.7384 0.1208 0.7348
O: 0.8792 0.6177 0.7348
O: 0.2616 0.8792 0.2652
O: 0.3823 0.2616 0.7348
S: 0.3333 0.6667 0.1649
S: 0.6667 0.3333 0.8351
Na: 0.6667 0.3333 0.3341
Na: 0.0000 0.0000 0.0000
Na: 0.3333 0.6667 0.6659
Na: 0.0000 0.0000 0.5000

---

(12)
## Na2SO3 (PBE-GGA)

Data for a relaxed Na2SO3 crystal.

Results
- spin magnetization (μB per cell) = 0.00
- crystal system = orthorhombic
- DFT formation energy (eV per formula unit) = -8.78

a = 5.5894 Å, b = 5.5894 Å, c = 7.1437 Å
α = 90.00°, β = 90.00°, γ = 116.15°
Sites, in units of the cell vectors:
Na: 0.9486 0.9486 0.5000
Na: 0.6708 0.3292 0.7500
Na: 0.3292 0.6708 0.2500
Na: 0.0514 0.0514 0.0000
S: 0.6923 0.3077 0.2500
S: 0.3077 0.6923 0.7500
O: 0.9070 0.5539 0.3764
O: 0.0930 0.4461 0.8764
O: 0.5539 0.9070 0.6236
O: 0.1456 0.8544 0.7500
O: 0.8544 0.1456 0.2500
O: 0.4461 0.0930 0.1236

---

(13)
## Na2S2O3 (PBE-GGA)

Data for a relaxed Na2S2O3 crystal.

Results
- spin magnetization (μB per cell) = 0.00
- crystal system = orthorhombic
- DFT formation energy (eV per formula unit) = -12.16

a = 8.0733 Å, b = 10.8094 Å, c = 16.0827 Å
α = 90.00°, β = 90.00°, γ = 90.00°
Sites, in units of the cell vectors:
S: 0.2318 0.9849 0.9336
S: 0.1471 0.5595 0.9225
S: 0.5665 0.5056 0.3387
S: 0.6618 0.7213 0.7609
S: 0.0665 0.4944 0.6613
S: 0.5665 0.0056 0.1613
S: 0.1618 0.7787 0.2609
S: 0.9564 0.7253 0.1969
S: 0.1356 0.8739 0.5888
S: 0.7318 0.5151 0.4336
S: 0.6471 0.4405 0.0775
S: 0.6618 0.2213 0.7391
S: 0.6356 0.6261 0.0888
S: 0.6471 0.9405 0.4225
S: 0.1471 0.0595 0.5775
S: 0.9564 0.2253 0.3031
S: 0.1356 0.3739 0.9112
S: 0.4564 0.2747 0.8031
S: 0.4564 0.7747 0.6969
S: 0.0665 0.9944 0.8387
S: 0.6356 0.1261 0.4112
S: 0.1618 0.2787 0.2391
S: 0.2318 0.4849 0.5664
S: 0.7318 0.0151 0.0664
Na: 0.0846 0.2409 0.7336
Na: 0.5846 0.7591 0.2664
Na: 0.8815 0.4865 0.2496
Na: 0.9448 0.7519 0.0159
Na: 0.4448 0.2481 0.9841
Na: 0.2886 0.5444 0.1367
Na: 0.9516 0.2500 0.0451
Na: 0.4516 0.2500 0.5451
Na: 0.5846 0.2591 0.2336
Na: 0.0846 0.7409 0.7664
Na: 0.3815 0.5135 0.7504
Na: 0.9448 0.2519 0.4841
Na: 0.7886 0.4556 0.8633
Na: 0.7026 0.9854 0.8787
Na: 0.2026 0.0146 0.1213
Na: 0.4448 0.7481 0.5159
Na: 0.4516 0.7500 0.9549
Na: 0.2026 0.5146 0.3787
Na: 0.7026 0.4854 0.6213
Na: 0.3815 0.0135 0.7496
Na: 0.7886 0.9556 0.6367
Na: 0.8815 0.9865 0.2504
Na: 0.2886 0.0444 0.3633
Na: 0.9516 0.7500 0.4549
O: 0.3100 0.2253 0.2806
O: 0.1681 0.4178 0.2426
O: 0.8991 0.0331 0.1037
O: 0.6926 0.6227 0.4883
O: 0.3991 0.9669 0.8963
O: 0.1516 0.7357 0.3482
O: 0.7251 0.8992 0.0165
O: 0.3100 0.7253 0.2194
O: 0.7251 0.3992 0.4835
O: 0.8100 0.7747 0.7194
O: 0.9873 0.1146 0.6070
O: 0.6926 0.1227 0.0117
O: 0.2251 0.6008 0.5165
O: 0.6516 0.2643 0.6518
O: 0.8991 0.5331 0.3963
O: 0.7844 0.3906 0.1302
O: 0.7844 0.8906 0.3698
O: 0.4873 0.8854 0.3930
O: 0.6681 0.5822 0.7574
O: 0.8100 0.2747 0.7806
O: 0.6747 0.4059 0.9893
O: 0.6747 0.9059 0.5107
O: 0.1747 0.0941 0.4893
O: 0.2844 0.6094 0.8698
O: 0.1681 0.9178 0.2574
O: 0.2251 0.1008 0.9835
O: 0.1926 0.3773 0.5117
O: 0.3991 0.4669 0.6037
O: 0.1747 0.5941 0.0107
O: 0.6516 0.7643 0.8482
O: 0.2844 0.1094 0.6302
O: 0.6681 0.0822 0.7426
O: 0.9873 0.6146 0.8930
O: 0.1926 0.8773 0.9883
O: 0.1516 0.2357 0.1518
O: 0.4873 0.3854 0.1070